This record from Materials Project describes IO3 after structural relaxation. The functional is r²SCAN.

Geometry as CIF:
```
data_IO3
_symmetry_space_group_name_H-M 'P 1'
_symmetry_Int_Tables_number 1
_symmetry_space_group_name_Hall 'P 1'
_cell_length_a 5.094
_cell_length_b 6.731
_cell_length_c 6.771
_cell_angle_alpha 97.63
_cell_angle_beta 95.86
_cell_angle_gamma 105.24
loop_
_atom_site_label
_atom_site_fract_x
_atom_site_fract_y
_atom_site_fract_z
_atom_site_occupancy
O1 0.208 0.365 0.518 1
O2 0.851 0.303 0.149 1
O3 0.782 0.016 0.417 1
O4 0.792 0.635 0.482 1
O5 0.748 0.313 0.703 1
O6 0.800 0.955 0.801 1
I1 0.799 0.658 0.779 1
O7 0.218 0.984 0.583 1
O8 0.742 0.709 0.109 1
O9 0.149 0.697 0.851 1
I2 0.998 0.829 0.329 1
I3 0.201 0.342 0.221 1
O10 0.258 0.291 0.891 1
O11 0.252 0.687 0.297 1
O12 0.200 0.045 0.199 1
I4 0.002 0.171 0.671 1
```

## Properties
- Crystal system: triclinic
- DFT total energy: -10.75 eV per atom